Entry from Materials Project: a geometry-optimized Sr7Y6OF30 structure (PBE).

abc: 9.0818 9.0818 9.0818
angles: 107.31 107.31 107.31
Atoms (fractional coordinates):
Sr 0.2686 0.4159 0.8228
Sr 0.6029 0.1887 0.7403
Sr 0.7403 0.6029 0.1887
Sr 0.4159 0.8228 0.2686
Sr 0.4891 0.4891 0.4891
Sr 0.1887 0.7403 0.6029
Sr 0.8228 0.2686 0.4159
F 0.5978 0.3605 0.2784
F 0.2784 0.5978 0.3605
F 0.4042 0.6362 0.7174
F 0.6908 0.6237 0.8940
F 0.2158 0.8404 0.9436
F 0.1043 0.2670 0.3212
F 0.5611 0.0263 0.1643
F 0.0528 0.7898 0.1684
F 0.5090 0.6862 0.0573
F 0.2670 0.3212 0.1043
F 0.8482 0.4536 0.9864
F 0.1643 0.5611 0.0263
F 0.0573 0.5090 0.6862
F 0.8404 0.9436 0.2158
F 0.7174 0.4042 0.6362
F 0.9528 0.4954 0.3222
F 0.6862 0.0573 0.5090
F 0.0263 0.1643 0.5611
F 0.3222 0.9528 0.4954
F 0.9864 0.8482 0.4536
F 0.4954 0.3222 0.9528
F 0.6362 0.7174 0.4042
F 0.7898 0.1684 0.0528
F 0.4536 0.9864 0.8482
F 0.1684 0.0528 0.7898
F 0.6237 0.8940 0.6908
F 0.3605 0.2784 0.5978
F 0.9436 0.2158 0.8404
F 0.8940 0.6908 0.6237
F 0.3212 0.1043 0.2670
Y 0.3750 0.1246 0.0434
Y 0.8744 0.9447 0.6649
Y 0.1246 0.0434 0.3750
Y 0.9447 0.6649 0.8744
Y 0.0434 0.3750 0.1246
Y 0.6649 0.8744 0.9447
O 0.8969 0.8969 0.8969

Computed properties:
Energy of formation ... -190.1 eV/f.u.
Electronic total energy ... -6.559 eV per atom
Size of the total moment ... 0.01 μB/cell
Calculated volume ... 618 Å³/cell
Space group ... R3, No. 146

***

Entry from Materials Project: a geometry-optimized TaO2F structure (PBE).

abc: 3.9812 3.9812 7.7735
angles: 90.00 90.00 90.00
Atoms (fractional coordinates):
Ta 0.0000 0.0000 0.5000
Ta 0.0000 0.0000 0.0000
O 0.5000 0.0000 0.0000
O 0.0000 0.5000 0.5000
O 0.0000 0.0000 0.7500
O 0.0000 0.0000 0.2500
F 0.0000 0.5000 0.0000
F 0.5000 0.0000 0.5000

Computed properties:
Energy of formation ... -13.3 eV/f.u.
Electronic total energy ... -8.790 eV per atom
Size of the total moment ... 0.00 μB/cell
Calculated volume ... 123 Å³/cell
Space group ... P4_2/mmc, No. 131

***

Entry from Materials Project: a geometry-optimized TaO2F structure (PBE).

abc: 3.8890 3.8890 4.1091
angles: 90.00 90.00 90.00
Atoms (fractional coordinates):
O 0.0000 0.5000 0.0000
O 0.5000 0.0000 0.0000
F 0.0000 0.0000 0.5000
Ta 0.0000 0.0000 0.0000

Computed properties:
Energy of formation ... -13.4 eV/f.u.
Electronic total energy ... -8.806 eV per atom
Size of the total moment ... 0.00 μB/cell
Calculated volume ... 62 Å³/cell
Space group ... P4/mmm, No. 123

***

Entry from Materials Project: a geometry-optimized Ta3O7F structure (PBE).

abc: 3.9421 6.2089 6.2089
angles: 114.75 90.00 90.00
Atoms (fractional coordinates):
Ta 0.0000 0.6835 0.3165
Ta 0.0000 0.0000 0.0000
Ta 0.0000 0.3165 0.6835
O 0.0000 0.9517 0.6691
O 0.0000 0.3309 0.0483
O 0.0000 0.0483 0.3309
O 0.5000 0.6985 0.3015
O 0.0000 0.6691 0.9517
O 0.5000 0.3015 0.6985
O 0.0000 0.5000 0.5000
F 0.5000 0.0000 0.0000

Computed properties:
Excess energy over the best structure of this formula in the dataset ... 55 meV per atom
Energy of formation ... -36.5 eV/f.u.
Electronic total energy ... -9.399 eV per atom
Size of the total moment ... 0.00 μB/cell
Calculated volume ... 138 Å³/cell
Space group ... Cmmm, No. 65

***

Entry from Materials Project: a geometry-optimized Ta3O7F structure (PBE).

abc: 6.3099 6.3099 3.8869
angles: 90.00 90.00 117.94
Atoms (fractional coordinates):
O 0.9539 0.6619 0.0000
O 0.0461 0.3381 0.0000
O 0.0000 0.0000 0.5000
O 0.6890 0.3110 0.5000
O 0.6619 0.9539 0.0000
O 0.3110 0.6890 0.5000
O 0.3381 0.0461 0.0000
Ta 0.3013 0.6987 0.0000
Ta 0.6987 0.3013 0.0000
Ta 0.0000 0.0000 0.0000
F 0.5000 0.5000 0.0000

Computed properties:
Excess energy over the best structure of this formula in the dataset ... 0 meV per atom
Energy of formation ... -37.1 eV/f.u.
Electronic total energy ... -9.453 eV per atom
Calculated volume ... 137 Å³/cell
Space group ... Cmmm, No. 65

***

Entry from Materials Project: a geometry-optimized TcO3F structure (PBE).

abc: 5.2627 6.0176 9.5179
angles: 86.75 90.00 90.00
Atoms (fractional coordinates):
O 0.5850 0.1112 0.8058
O 0.3347 0.2126 0.4498
O 0.9150 0.1112 0.3058
O 0.7802 0.5411 0.7882
O 0.0850 0.8888 0.6942
O 0.1653 0.2126 0.9498
O 0.4150 0.8888 0.1942
O 0.2198 0.4589 0.2118
O 0.6653 0.7874 0.5502
O 0.8347 0.7874 0.0502
O 0.2802 0.4589 0.7118
O 0.7198 0.5411 0.2882
Tc 0.4167 0.3299 0.8623
Tc 0.0833 0.3299 0.3623
Tc 0.9167 0.6701 0.6377
Tc 0.5833 0.6701 0.1377
F 0.6334 0.3506 0.0421
F 0.3666 0.6494 0.9579
F 0.1334 0.6494 0.4579
F 0.8666 0.3506 0.5421

Computed properties:
Energy of formation ... -9.6 eV/f.u.
Electronic total energy ... -6.845 eV per atom
Size of the total moment ... 0.00 μB/cell
Calculated volume ... 301 Å³/cell
Space group ... P2_1/c, No. 14

***

Entry from Materials Project: a geometry-optimized TcXeO4F5 structure (PBE).

abc: 9.4298 9.4298 5.4004
angles: 90.00 90.00 127.53
Atoms (fractional coordinates):
O 0.0092 0.3543 0.5670
O 0.3543 0.0092 0.0670
O 0.6397 0.3603 0.3256
O 0.3603 0.6397 0.8256
O 0.3281 0.6719 0.3009
O 0.9908 0.6457 0.0670
O 0.6457 0.9908 0.5670
O 0.6719 0.3281 0.8009
F 0.7903 0.6494 0.6211
F 0.0386 0.9614 0.2276
F 0.6494 0.7903 0.1211
F 0.2097 0.3506 0.1211
F 0.1905 0.8095 0.6276
F 0.8095 0.1905 0.1276
F 0.9614 0.0386 0.7276
F 0.4835 0.5165 0.4141
F 0.5165 0.4835 0.9141
F 0.3506 0.2097 0.6211
Xe 0.1230 0.8770 0.9432
Xe 0.8770 0.1230 0.4432
Tc 0.5947 0.4053 0.6040
Tc 0.4053 0.5947 0.1040

Computed properties:
Energy of formation ... -12.6 eV/f.u.
Electronic total energy ... -4.302 eV per atom
Size of the total moment ... 0.00 μB/cell
Calculated volume ... 381 Å³/cell
Space group ... Cmc2_1, No. 36

***

Entry from Materials Project: a geometry-optimized Te5O4F22 structure (PBE).

abc: 12.5751 12.5751 12.5751
angles: 132.92 132.92 68.78
Atoms (fractional coordinates):
Te 0.5153 0.9337 0.0063
Te 0.0663 0.0726 0.5816
Te 0.9274 0.5090 0.9937
Te 0.2347 0.3163 0.4937
Te 0.6837 0.1774 0.9184
Te 0.4910 0.4847 0.4184
Te 0.7500 0.2500 0.5000
Te 0.8226 0.7410 0.5063
Te 0.2590 0.7653 0.0816
Te 0.0000 0.0000 0.0000
F 0.9317 0.6977 0.0695
F 0.3023 0.3717 0.2339
F 0.6790 0.6001 0.6036
F 0.5474 0.2903 0.9476
F 0.5019 0.5339 0.6039
F 0.7535 0.1746 0.1036
F 0.2717 0.8111 0.2662
F 0.5449 0.0055 0.7338
F 0.9246 0.3210 0.9211
F 0.7555 0.5217 0.9607
F 0.6480 0.7519 0.4680
F 0.7097 0.6574 0.2571
F 0.3497 0.7974 0.7571
F 0.1217 0.3878 0.5695
F 0.8406 0.3406 0.5000
F 0.6283 0.8622 0.9305
F 0.9094 0.9094 0.0000
F 0.0710 0.6499 0.8964
F 0.6594 0.1594 0.5000
F 0.4783 0.4389 0.2338
F 0.2481 0.7161 0.8961
F 0.1889 0.4551 0.4607
F 0.3501 0.2465 0.4211
F 0.2839 0.1800 0.5320
F 0.1378 0.0683 0.7661
F 0.9965 0.0754 0.3964
F 0.9300 0.8980 0.3961
F 0.6122 0.1817 0.7339
F 0.0906 0.0906 0.0000
F 0.4477 0.8783 0.2661
F 0.3426 0.5997 0.0524
F 0.1020 0.4981 0.0320
F 0.2051 0.2445 0.7662
F 0.5611 0.7949 0.0393
F 0.8183 0.5523 0.4305
F 0.9945 0.7283 0.5393
F 0.8200 0.3520 0.1039
F 0.4003 0.4526 0.7429
F 0.8254 0.9290 0.5789
F 0.0403 0.5926 0.2429
F 0.2026 0.9597 0.5524
F 0.4074 0.6503 0.4476
F 0.4661 0.0700 0.9680
F 0.3999 0.0035 0.0789
O 0.6951 0.0672 0.2594
O 0.9422 0.8142 0.7594
O 0.1858 0.9451 0.1279
O 0.0549 0.1828 0.2406
O 0.9328 0.1922 0.6279
O 0.8078 0.4358 0.7406
O 0.8172 0.0578 0.8721
O 0.5642 0.3049 0.3721

Computed properties:
Energy of formation ... -68.3 eV/f.u.
Electronic total energy ... -4.292 eV per atom
Size of the total moment ... 0.00 μB/cell
Calculated volume ... 1047 Å³/cell
Space group ... I4_1/a, No. 88

***

Entry from Materials Project: a geometry-optimized TeOF2 structure (PBE).

abc: 8.3655 5.4558 5.6972
angles: 83.57 90.00 90.00
Atoms (fractional coordinates):
F 0.8309 0.6590 0.2714
F 0.7649 0.2332 0.5650
F 0.5464 0.9979 0.2992
F 0.2649 0.7668 0.4350
F 0.5695 0.8077 0.8405
F 0.0695 0.1923 0.1595
F 0.3309 0.3410 0.7286
F 0.0464 0.0021 0.7008
Te 0.4107 0.1270 0.0352
Te 0.6475 0.5197 0.6522
Te 0.1475 0.4803 0.3478
Te 0.9107 0.8730 0.9648
O 0.3532 0.3942 0.2253
O 0.6056 0.3059 0.9452
O 0.8532 0.6058 0.7747
O 0.1056 0.6941 0.0548

Computed properties:
Largest piezoelectric modulus ... 1.22 C/m2
Energy of formation ... -8.5 eV/f.u.
Electronic total energy ... -4.694 eV per atom
Calculated volume ... 258 Å³/cell
Space group ... P2_1, No. 4

***

Entry from Materials Project: a geometry-optimized Te3O2F12 structure (PBE).

abc: 14.8021 14.8021 14.8021
angles: 133.31 133.31 68.16
Atoms (fractional coordinates):
F 0.6760 0.7907 0.3045
F 0.1196 0.2309 0.7511
F 0.0740 0.4593 0.1955
F 0.2093 0.5137 0.8853
F 0.9187 0.2032 0.7139
F 0.2719 0.6043 0.7213
F 0.1185 0.3696 0.3887
F 0.9532 0.7393 0.7845
F 0.2702 0.8815 0.2511
F 0.0055 0.6732 0.2352
F 0.4494 0.7281 0.3324
F 0.2637 0.8785 0.8045
F 0.8670 0.6994 0.2213
F 0.7445 0.5768 0.2648
F 0.7952 0.0813 0.2845
F 0.6304 0.0191 0.7489
F 0.6285 0.3240 0.1147
F 0.4781 0.6457 0.7787
F 0.4935 0.9600 0.7577
F 0.5407 0.7363 0.6147
F 0.7968 0.5107 0.7155
F 0.2023 0.7357 0.2423
F 0.5477 0.5143 0.2577
F 0.1215 0.9260 0.3853
F 0.3006 0.5219 0.1676
F 0.6315 0.8804 0.1113
F 0.4863 0.3715 0.6955
F 0.8830 0.5506 0.2787
F 0.2565 0.2900 0.7423
F 0.5203 0.2555 0.8322
F 0.4380 0.7703 0.7648
F 0.2607 0.0452 0.2139
F 0.9548 0.1687 0.2155
F 0.4893 0.2048 0.2861
F 0.8313 0.0468 0.7861
F 0.4232 0.6880 0.1678
F 0.2643 0.5065 0.4666
F 0.2297 0.9945 0.6678
F 0.4857 0.7435 0.0334
F 0.7691 0.5202 0.8887
F 0.9809 0.7298 0.6113
F 0.3120 0.4797 0.7352
F 0.4798 0.3685 0.2489
F 0.7100 0.4523 0.9666
F 0.3543 0.1330 0.8324
F 0.3268 0.5620 0.3322
F 0.3957 0.1170 0.6676
F 0.0400 0.7977 0.5334
Te 0.6109 0.8866 0.2304
Te 0.1391 0.3634 0.2696
Te 0.6196 0.3891 0.2757
Te 0.1134 0.3439 0.7243
Te 0.8750 0.6250 0.7500
Te 0.8750 0.1250 0.2500
Te 0.6366 0.9061 0.7757
Te 0.3750 0.1250 0.2500
Te 0.0939 0.8696 0.7304
Te 0.8750 0.1250 0.7500
Te 0.1304 0.8609 0.2243
Te 0.6561 0.3804 0.7696
O 0.7518 0.5283 0.5120
O 0.7337 0.0102 0.0120
O 0.7602 0.2482 0.7765
O 0.0163 0.2398 0.4880
O 0.9898 0.0018 0.7235
O 0.2783 0.2663 0.2765
O 0.4717 0.9837 0.2235
O 0.9982 0.7217 0.9880

Computed properties:
Energy of formation ... -25.0 eV/f.u.
Electronic total energy ... -3.552 eV per atom
Size of the total moment ... 0.66 μB/cell
Calculated volume ... 1687 Å³/cell
Space group ... I4_1/a, No. 88

***

Entry from Materials Project: a geometry-optimized TiTeO3F2 structure (PBE).

abc: 7.5227 6.6284 18.0740
angles: 68.48 90.00 90.00
Atoms (fractional coordinates):
F 0.3852 0.5057 0.2501
F 0.1372 0.3129 0.3645
F 0.6092 0.2885 0.9795
F 0.3908 0.7115 0.0205
F 0.1121 0.2518 0.9794
F 0.1148 0.5057 0.7501
F 0.6372 0.6871 0.1355
F 0.8628 0.6871 0.6355
F 0.1092 0.7115 0.5205
F 0.8908 0.2885 0.4795
F 0.3879 0.2518 0.4794
F 0.8852 0.4943 0.2499
F 0.6148 0.4943 0.7499
F 0.6121 0.7482 0.5206
F 0.8879 0.7482 0.0206
F 0.3628 0.3129 0.8645
O 0.9479 0.6775 0.3606
O 0.6720 0.3339 0.6320
O 0.8291 0.0969 0.3680
O 0.6372 0.4521 0.3652
O 0.3522 0.0261 0.7500
O 0.1372 0.5479 0.1348
O 0.4472 0.1005 0.3606
O 0.3280 0.6661 0.3680
O 0.0521 0.3225 0.6394
O 0.1720 0.6661 0.8680
O 0.5521 0.6775 0.8606
O 0.3628 0.5479 0.6348
O 0.8628 0.4521 0.8652
O 0.1478 0.0261 0.2500
O 0.8522 0.9739 0.7500
O 0.6478 0.9739 0.2500
O 0.6709 0.0969 0.8680
O 0.3291 0.9031 0.1320
O 0.8280 0.3339 0.1320
O 0.4479 0.3225 0.1394
O 0.5528 0.8995 0.6394
O 0.0528 0.1005 0.8606
O 0.1709 0.9031 0.6320
O 0.9472 0.8995 0.1394
Te 0.3605 0.8619 0.8638
Te 0.8604 0.9102 0.8637
Te 0.1396 0.0898 0.1363
Te 0.6395 0.1381 0.1362
Te 0.8605 0.1381 0.6362
Te 0.1395 0.8619 0.3638
Te 0.6396 0.9102 0.3637
Te 0.3604 0.0898 0.6363
Ti 0.9018 0.6172 0.1310
Ti 0.5982 0.6172 0.6310
Ti 0.1263 0.6122 0.6309
Ti 0.8737 0.3878 0.3691
Ti 0.0982 0.3828 0.8690
Ti 0.3737 0.6122 0.1309
Ti 0.4018 0.3828 0.3690
Ti 0.6263 0.3878 0.8691

Computed properties:
Energy of formation ... -19.3 eV/f.u.
Electronic total energy ... -6.569 eV per atom
Size of the total moment ... 0.00 μB/cell
Calculated volume ... 838 Å³/cell
Space group ... P2_1/c, No. 14